No. 1
First-principles (GGA-PBE) data for NaSbCO2F3 after structural relaxation, as listed in the Materials Project.

Cell: 9.3360 9.3360 8.5221 Å, 96.33 96.33 40.28°
Fractional coordinates of all 32 atoms:
Na 0.1153 0.8847 0.5000
Na 0.4608 0.6974 0.8507
Na 0.6974 0.4608 0.3507
Na 0.8847 0.1153 0.0000
Sb 0.0549 0.3117 0.7788
Sb 0.2716 0.5187 0.0723
Sb 0.3117 0.0549 0.2788
Sb 0.5187 0.2716 0.5723
C 0.6824 0.8314 0.6987
C 0.7488 0.8916 0.1444
C 0.8314 0.6824 0.1987
C 0.8916 0.7488 0.6444
O 0.0264 0.4953 0.1672
O 0.0780 0.5519 0.6723
O 0.4953 0.0264 0.6672
O 0.5519 0.0780 0.1723
O 0.6957 0.7151 0.2721
O 0.7151 0.6957 0.7721
O 0.8593 0.8866 0.5750
O 0.8866 0.8593 0.0750
F 0.0144 0.1764 0.2243
F 0.1764 0.0144 0.7243
F 0.2192 0.7492 0.9850
F 0.2280 0.6162 0.2980
F 0.3501 0.9567 0.0540
F 0.3675 0.8253 0.3736
F 0.3921 0.5703 0.6330
F 0.5703 0.3921 0.1330
F 0.6162 0.2280 0.7980
F 0.7492 0.2192 0.4850
F 0.8253 0.3675 0.8736
F 0.9567 0.3501 0.5540

## Properties
E_tot = -0.4236 Ry/atom
Spin magnetization = 0.0 μB/f.u.

No. 2
First-principles (GGA-PBE) data for NaSbCO2F3 after structural relaxation, as listed in the Materials Project.

Cell: 9.3275 9.3275 8.4930 Å, 96.48 96.48 40.30°
Fractional coordinates of all 32 atoms:
Na 0.0945 0.3262 0.3238
Na 0.3262 0.0945 0.8238
Na 0.6738 0.9055 0.1762
Na 0.9055 0.6738 0.6762
Sb 0.2695 0.5196 0.1054
Sb 0.4804 0.7305 0.3946
Sb 0.5196 0.2695 0.6054
Sb 0.7305 0.4804 0.8946
C 0.0410 0.8957 0.5275
C 0.1043 0.9590 0.9725
C 0.8957 0.0410 0.0275
C 0.9590 0.1043 0.4725
O 0.0707 0.0955 0.8991
O 0.0955 0.0707 0.3991
O 0.2360 0.7083 0.4963
O 0.2917 0.7640 0.0037
O 0.7083 0.2360 0.9963
O 0.7640 0.2917 0.5037
O 0.9045 0.9293 0.6009
O 0.9293 0.9045 0.1009
F 0.0384 0.5744 0.1957
F 0.1722 0.5600 0.8791
F 0.2220 0.3923 0.5477
F 0.3923 0.2220 0.0477
F 0.4256 0.9616 0.3043
F 0.4400 0.8278 0.6209
F 0.5600 0.1722 0.3791
F 0.5744 0.0384 0.6957
F 0.6077 0.7780 0.9523
F 0.7780 0.6077 0.4523
F 0.8278 0.4400 0.1209
F 0.9616 0.4256 0.8043

## Properties
E_tot = -0.4236 Ry/atom
Spin magnetization = 0.0 μB/f.u.

No. 3
First-principles (GGA-PBE) data for Na2Sn2C3O6F3 after structural relaxation, as listed in the Materials Project.

Cell: 6.1178 8.9305 9.3628 Å, 70.46 82.15 82.84°
Fractional coordinates of all 32 atoms:
Na 0.1399 0.2625 0.1250
Na 0.2931 0.9565 0.9205
Na 0.7069 0.0435 0.0795
Na 0.8601 0.7375 0.8750
Sn 0.1624 0.4288 0.6838
Sn 0.1731 0.8619 0.3638
Sn 0.8269 0.1381 0.6362
Sn 0.8376 0.5712 0.3162
C 0.3979 0.4957 0.2292
C 0.4128 0.6066 0.8341
C 0.4161 0.0751 0.4871
C 0.5839 0.9249 0.5129
C 0.5872 0.3934 0.1659
C 0.6021 0.5043 0.7708
O 0.2023 0.4761 0.2148
O 0.2130 0.5819 0.8225
O 0.2468 0.0778 0.4193
O 0.4557 0.5902 0.2905
O 0.4566 0.1845 0.5336
O 0.4625 0.7036 0.8915
O 0.5375 0.2964 0.1085
O 0.5434 0.8155 0.4664
O 0.5443 0.4098 0.7095
O 0.7532 0.9222 0.5807
O 0.7870 0.4181 0.1775
O 0.7977 0.5239 0.7852
F 0.0602 0.9551 0.7579
F 0.1327 0.2333 0.8849
F 0.3630 0.9580 0.1550
F 0.6370 0.0420 0.8450
F 0.8673 0.7667 0.1151
F 0.9398 0.0449 0.2421

## Properties
E_tot = -0.4625 Ry/atom
Spin magnetization = 0.0 μB/f.u.

Repeat the second record exactly.
First-principles (GGA-PBE) data for NaSbCO2F3 after structural relaxation, as listed in the Materials Project.

Cell: 9.3275 9.3275 8.4930 Å, 96.48 96.48 40.30°
Fractional coordinates of all 32 atoms:
Na 0.0945 0.3262 0.3238
Na 0.3262 0.0945 0.8238
Na 0.6738 0.9055 0.1762
Na 0.9055 0.6738 0.6762
Sb 0.2695 0.5196 0.1054
Sb 0.4804 0.7305 0.3946
Sb 0.5196 0.2695 0.6054
Sb 0.7305 0.4804 0.8946
C 0.0410 0.8957 0.5275
C 0.1043 0.9590 0.9725
C 0.8957 0.0410 0.0275
C 0.9590 0.1043 0.4725
O 0.0707 0.0955 0.8991
O 0.0955 0.0707 0.3991
O 0.2360 0.7083 0.4963
O 0.2917 0.7640 0.0037
O 0.7083 0.2360 0.9963
O 0.7640 0.2917 0.5037
O 0.9045 0.9293 0.6009
O 0.9293 0.9045 0.1009
F 0.0384 0.5744 0.1957
F 0.1722 0.5600 0.8791
F 0.2220 0.3923 0.5477
F 0.3923 0.2220 0.0477
F 0.4256 0.9616 0.3043
F 0.4400 0.8278 0.6209
F 0.5600 0.1722 0.3791
F 0.5744 0.0384 0.6957
F 0.6077 0.7780 0.9523
F 0.7780 0.6077 0.4523
F 0.8278 0.4400 0.1209
F 0.9616 0.4256 0.8043

## Properties
E_tot = -0.4236 Ry/atom
Spin magnetization = 0.0 μB/f.u.